1.
Below is a relaxed structure of Na3P3O10, with properties calculated at the GGA-PBE level.

```
Na3P3O10
1.0
0.0000 0.0000 7.8293
8.2304 0.0000 0.0000
0.0000 13.5454 0.0000
O P Na
40 12 12
Direct
0.2388 0.2500 0.2840
0.6796 0.2500 0.4741
0.9377 0.0969 0.1028
0.2612 0.7500 0.7840
0.3797 0.2500 0.5594
0.9804 0.2500 0.5949
0.3204 0.7500 0.5259
0.7612 0.7500 0.7160
0.8831 0.5428 0.5935
0.1169 0.0428 0.4065
0.0196 0.7500 0.4051
0.5623 0.9031 0.6028
0.9377 0.4031 0.1028
0.8831 0.9572 0.5935
0.2972 0.5483 0.2550
0.3831 0.9572 0.9065
0.4804 0.2500 0.9051
0.6203 0.7500 0.4406
0.2028 0.0483 0.7550
0.7972 0.9517 0.2450
0.4377 0.0969 0.3972
0.6169 0.0428 0.0935
0.3831 0.5428 0.9065
0.7388 0.2500 0.2160
0.8797 0.2500 0.9406
0.4377 0.4031 0.3972
0.7028 0.0483 0.7450
0.2972 0.9517 0.2550
0.6169 0.4572 0.0935
0.0623 0.9031 0.8972
0.2028 0.4517 0.7550
0.7028 0.4517 0.7450
0.5196 0.7500 0.0949
0.0623 0.5969 0.8972
0.8204 0.7500 0.9741
0.1203 0.7500 0.0594
0.1169 0.4572 0.4065
0.7972 0.5483 0.2450
0.5623 0.5969 0.6028
0.1796 0.2500 0.0259
0.7611 0.4281 0.1646
0.0111 0.7500 0.9683
0.7389 0.5719 0.6646
0.2611 0.4281 0.3354
0.4889 0.2500 0.4683
0.7389 0.9281 0.6646
0.2389 0.5719 0.8354
0.2389 0.9281 0.8354
0.9889 0.2500 0.0317
0.2611 0.0719 0.3354
0.5111 0.7500 0.5317
0.7611 0.0719 0.1646
0.9600 0.2500 0.7700
0.8224 0.0082 0.4214
0.4600 0.2500 0.7300
0.6776 0.5082 0.9214
0.0400 0.7500 0.2300
0.8224 0.4918 0.4214
0.1776 0.5082 0.5786
0.1776 0.9918 0.5786
0.3224 0.4918 0.0786
0.6776 0.9918 0.9214
0.5400 0.7500 0.2700
0.3224 0.0082 0.0786
```

Output
Its spin magnetization is 2.00 μB/f.u. As for the total energy after the MP2020 corrections: -6.7021 eV per atom.

2.
Below is a relaxed structure of LaSiRh, with properties calculated at the GGA-PBE level.

```
LaSiRh
1.0
-5.3463 3.0618 -1.8070
-3.5441 -4.8479 2.2716
-0.2811 2.8890 5.7270
La Si Rh
4 4 4
Direct
0.8664 0.6335 0.3664
0.1336 0.1336 0.1336
0.6335 0.3664 0.8664
0.3664 0.8664 0.6335
0.3384 0.6616 0.1616
0.8384 0.8384 0.8384
0.6616 0.1616 0.3384
0.1616 0.3384 0.6616
0.0770 0.5770 0.9230
0.4230 0.4230 0.4230
0.5770 0.9230 0.0770
0.9230 0.0770 0.5770
```

3.
Below is a relaxed structure of TbCeO4, with properties calculated at the GGA-PBE level.

```
TbCeO4
1.0
-3.9490 3.9490 5.2547
3.9490 -3.9490 5.2547
3.9490 3.9490 -5.2547
O Tb Ce
16 4 4
Direct
0.9965 0.4965 0.9929
0.4970 0.9970 0.5000
0.2465 0.7535 0.0000
0.2500 0.7500 0.5000
0.7500 0.2500 0.5000
0.5035 0.0035 0.0071
0.0030 0.5030 0.5000
0.0000 0.0000 0.0000
0.7535 0.2465 0.0000
0.5035 0.4965 0.5000
0.7535 0.7535 0.5071
0.5000 0.5000 0.0000
0.7470 0.7470 0.0000
0.2465 0.2465 0.4929
0.9965 0.0035 0.5000
0.2530 0.2530 0.0000
0.3750 0.6250 0.2500
0.3750 0.6250 0.7500
0.3750 0.1250 0.7500
0.8750 0.6250 0.2500
0.8750 0.1250 0.2500
0.3750 0.1250 0.2500
0.8750 0.6250 0.7500
0.8750 0.1250 0.7500
```

Output
Its spin magnetization is 0.00 μB/f.u. As for the total energy after the MP2020 corrections: -8.6214 eV per atom.

4.
Below is a relaxed structure of Mg3Os, with properties calculated at the GGA-PBE level.

```
Mg3Os
1.0
1.8849 5.2484 -1.9500
-5.7901 -1.1347 0.2981
-0.1003 1.6614 4.3746
Os Mg
2 6
Direct
0.3333 0.6667 0.7500
0.6667 0.3333 0.2500
0.1766 0.8234 0.2500
0.3532 0.1766 0.7500
0.8234 0.1766 0.7500
0.6468 0.8234 0.2500
0.1766 0.3532 0.2500
0.8234 0.6468 0.7500
```

Output
Its spin magnetization is 0.00 μB/f.u.

5.
Below is a relaxed structure of K4BeP2, with properties calculated at the GGA-PBE level.

```
K4BeP2
1.0
0.9131 2.7995 -4.7622
0.9131 -2.7995 -4.7622
-7.6700 0.0000 -4.7622
Be P K
1 2 4
Direct
0.0000 0.0000 0.0000
0.9211 0.9211 0.2367
0.0789 0.0789 0.7633
0.6231 0.6231 0.1306
0.2086 0.2086 0.3742
0.7914 0.7914 0.6258
0.3769 0.3769 0.8694
```

6.
Below is a relaxed structure of Nb2Cr4Si5, with properties calculated at the GGA-PBE level.

```
Nb2Cr4Si5
1.0
5.2997 -7.5684 1.3351
4.7984 -1.3406 7.8948
-8.2743 1.3133 -4.1183
Cr Nb Si
8 4 10
Direct
0.6904 0.4394 0.2510
0.8115 0.0606 0.7510
0.0209 0.6422 0.3787
0.2635 0.1422 0.1213
0.3096 0.5606 0.7490
0.1885 0.9394 0.2490
0.9791 0.3578 0.6213
0.7365 0.8578 0.8787
0.3095 0.5595 0.2500
0.6905 0.4405 0.7500
0.3095 0.0595 0.7500
0.6905 0.9405 0.2500
0.0000 0.2500 0.2500
0.5283 0.9400 0.5884
0.3516 0.4400 0.9116
0.9878 0.7973 0.1905
0.6484 0.5600 0.0884
0.3932 0.7027 0.6905
0.0000 0.7500 0.7500
0.4717 0.0600 0.4116
0.0122 0.2027 0.8095
0.6068 0.2973 0.3095
```

Output
Its spin magnetization is 3.04 μB/f.u. As for the total energy after the MP2020 corrections: -7.9502 eV per atom.

7.
Below is a relaxed structure of Ni3Pt, with properties calculated at the GGA-PBE level.

```
Ni3Pt
1.0
-2.6219 -2.4654 0.5989
1.5565 -2.2432 -2.4201
2.0036 -1.4836 2.6638
Pt Ni
1 3
Direct
0.0000 0.0000 0.0000
0.0000 0.5000 0.5000
0.5000 0.5000 0.0000
0.5000 0.0000 0.5000
```

8.
Below is a relaxed structure of InBi2S4Br, with properties calculated at the GGA-PBE level.

```
InBi2S4Br
1.0
-2.8585 -5.3210 2.8618
-1.5958 -2.9700 5.7712
-8.5312 1.2616 2.6833
S In Br Bi
4 1 1 2
Direct
0.3778 0.3778 0.9436
0.1640 0.1640 0.6958
0.8360 0.8360 0.3042
0.6222 0.6222 0.0564
0.0000 0.0000 0.0000
0.5000 0.5000 0.5000
0.7909 0.7909 0.7425
0.2091 0.2091 0.2575
```

Output
Its spin magnetization is 0.00 μB/f.u. As for the total energy after the MP2020 corrections: -4.3816 eV per atom.

9.
Below is a relaxed structure of Cs3SbI6, with properties calculated at the GGA-PBE level.

```
Cs3SbI6
1.0
-6.7350 -6.5487 0.6439
-0.3589 -5.6612 7.5155
-6.9276 0.9751 6.3022
Cs I Sb
3 6 1
Direct
0.5000 0.5000 0.5000
0.2500 0.2500 0.2500
0.7500 0.7500 0.7500
0.7723 0.2277 0.7723
0.2277 0.7723 0.2277
0.2277 0.2277 0.7723
0.7723 0.2277 0.2277
0.7723 0.7723 0.2277
0.2277 0.7723 0.7723
0.0000 0.0000 0.0000
```

Output
Its spin magnetization is 0.00 μB/f.u. As for the total energy after the MP2020 corrections: -2.8539 eV per atom.

10.
Below is a relaxed structure of Na2Nb3O6, with properties calculated at the GGA-PBE level.

```
Na2Nb3O6
1.0
9.4263 0.0000 9.4263
4.7132 3.8483 4.7132
-0.7168 0.0000 7.0010
Nb O Na
6 12 4
Direct
0.8721 0.4224 0.7500
0.5833 0.2112 0.2500
0.7945 0.5776 0.2500
0.0833 0.7888 0.7500
0.3721 0.2112 0.2500
0.2945 0.7888 0.7500
0.4474 0.4643 0.0035
0.6373 0.8101 0.0035
0.4117 0.5357 0.5035
0.0293 0.1899 0.9965
0.5293 0.7256 0.4965
0.1373 0.2744 0.5035
0.7549 0.2744 0.9965
0.2193 0.5357 0.9965
0.7193 0.8101 0.4965
0.9474 0.1899 0.5035
0.2549 0.4643 0.4965
0.9117 0.7256 0.0035
0.2537 0.0000 0.2389
0.9130 0.0000 0.2611
0.7537 0.0000 0.7389
0.4130 0.0000 0.7611
```

Output
Its spin magnetization is 0.01 μB/f.u. As for the total energy after the MP2020 corrections: -7.9562 eV per atom.

11.
Below is a relaxed structure of YHSe, with properties calculated at the GGA-PBE level.

```
YHSe
1.0
-0.2216 3.6979 -1.0584
-2.1124 -1.2884 2.9532
2.9178 0.8824 2.4720
H Se Y
1 1 1
Direct
0.0000 0.0000 0.0000
0.3333 0.6667 0.5000
0.6667 0.3333 0.0000
```

Output
As for the total energy after the MP2020 corrections: -6.0439 eV per atom. As for the maximum piezoelectric response: 0.5 C/m².

12.
Below is a relaxed structure of ErAgPb, with properties calculated at the GGA-PBE level.

```
ErAgPb
1.0
3.7551 -6.5040 0.0000
3.7551 6.5040 0.0000
0.0000 0.0000 4.5556
Er Pb Ag
3 3 3
Direct
0.0000 0.5688 0.5000
0.5688 0.0000 0.5000
0.4312 0.4312 0.5000
0.3333 0.6667 0.0000
0.0000 0.0000 0.5000
0.6667 0.3333 0.0000
0.2461 0.0000 0.0000
0.0000 0.2461 0.0000
0.7539 0.7539 0.0000
```

13.
Below is a relaxed structure of KU6F25, with properties calculated at the GGA-PBE level.

```
KU6F25
1.0
4.9616 6.1013 -2.2771
-5.5180 -2.9717 -5.2677
-11.1339 11.0750 5.4150
F U K
50 12 2
Direct
0.3777 0.1888 0.7500
0.1370 0.8630 0.6612
0.5145 0.4855 0.8548
0.6789 0.0000 0.5000
0.6223 0.8112 0.2500
0.3333 0.6667 0.4319
0.1888 0.8112 0.2500
0.8112 0.6223 0.7500
0.0000 0.6789 0.5000
0.2740 0.1370 0.1612
0.4855 0.9709 0.3548
0.3333 0.6667 0.0681
0.0291 0.5145 0.1452
0.8630 0.7260 0.3388
0.0000 0.0000 0.9265
0.1370 0.8630 0.8388
0.3211 0.0000 0.5000
0.8112 0.1888 0.7500
0.5145 0.0291 0.8548
0.8630 0.7260 0.1612
0.4855 0.9709 0.1452
0.0000 0.3211 0.0000
0.5145 0.4855 0.6452
0.0000 0.0000 0.5735
0.4855 0.5145 0.1452
0.6667 0.3333 0.5681
0.6667 0.3333 0.9319
0.3211 0.3211 0.5000
0.6789 0.6789 0.0000
0.8630 0.1370 0.1612
0.7260 0.8630 0.8388
0.6789 0.6789 0.5000
0.3211 0.3211 0.0000
0.3211 0.0000 0.0000
0.7260 0.8630 0.6612
0.8630 0.1370 0.3388
0.0291 0.5145 0.3548
0.6789 0.0000 0.0000
0.2740 0.1370 0.3388
0.0000 0.0000 0.0735
0.4855 0.5145 0.3548
0.1370 0.2740 0.8388
0.0000 0.3211 0.5000
0.0000 0.0000 0.4265
0.1370 0.2740 0.6612
0.1888 0.3777 0.2500
0.9709 0.4855 0.6452
0.9709 0.4855 0.8548
0.5145 0.0291 0.6452
0.0000 0.6789 0.0000
0.1667 0.8333 0.1130
0.8333 0.6666 0.8870
0.3334 0.1667 0.6130
0.6666 0.8333 0.3870
0.8333 0.1667 0.8870
0.6666 0.8333 0.1130
0.1667 0.8333 0.3870
0.8333 0.6666 0.6130
0.8333 0.1667 0.6130
0.3334 0.1667 0.8870
0.1667 0.3334 0.1130
0.1667 0.3334 0.3870
0.6667 0.3333 0.2500
0.3333 0.6667 0.7500
```

Output
Its spin magnetization is 12.00 μB/f.u. As for the total energy after the MP2020 corrections: -7.5581 eV per atom.

14.
Below is a relaxed structure of Al2SiO4F2, with properties calculated at the GGA-PBE level.

```
Al2SiO4F2
1.0
4.7080 0.0000 0.0000
0.0000 8.4975 0.0000
0.0000 0.0000 8.8888
Si O F Al
4 16 8 8
Direct
0.3963 0.2500 0.0601
0.8963 0.7500 0.4399
0.1037 0.2500 0.5601
0.6037 0.7500 0.9399
0.0401 0.2500 0.7440
0.2013 0.7500 0.5327
0.2084 0.4071 0.0115
0.2916 0.0929 0.5115
0.7916 0.9071 0.9885
0.2084 0.0929 0.0115
0.7084 0.9071 0.4885
0.5401 0.7500 0.7560
0.7084 0.5929 0.4885
0.7987 0.2500 0.4673
0.9599 0.7500 0.2560
0.2916 0.4071 0.5115
0.4599 0.2500 0.2440
0.2987 0.7500 0.0327
0.7916 0.5929 0.9885
0.7013 0.2500 0.9673
0.0987 0.5557 0.7524
0.0987 0.9443 0.7524
0.9013 0.4443 0.2476
0.5987 0.4443 0.7476
0.4013 0.9443 0.2524
0.4013 0.5557 0.2524
0.9013 0.0557 0.2476
0.5987 0.0557 0.7476
0.9028 0.4168 0.8695
0.4028 0.5832 0.6305
0.5972 0.0832 0.3695
0.0972 0.5832 0.1305
0.4028 0.9168 0.6305
0.0972 0.9168 0.1305
0.5972 0.4168 0.3695
0.9028 0.0832 0.8695
```

Output
Its spin magnetization is 0.00 μB/f.u. As for the total energy after the MP2020 corrections: -7.5893 eV per atom.

15.
Below is a relaxed structure of K2LiNdI6, with properties calculated at the GGA-PBE level.

```
K2LiNdI6
1.0
0.0000 6.0573 6.0573
6.0573 0.0000 6.0573
6.0573 6.0573 0.0000
I K Li Nd
6 2 1 1
Direct
0.7444 0.2556 0.2556
0.7444 0.2556 0.7444
0.2556 0.7444 0.7444
0.2556 0.2556 0.7444
0.2556 0.7444 0.2556
0.7444 0.7444 0.2556
0.7500 0.7500 0.7500
0.2500 0.2500 0.2500
0.5000 0.5000 0.5000
0.0000 0.0000 0.0000
```

Output
Its spin magnetization is 0.00 μB/f.u. As for the total energy after the MP2020 corrections: -3.3855 eV per atom.

16.
Below is a relaxed structure of Pu3Ge, with properties calculated at the GGA-PBE level.

```
Pu3Ge
1.0
4.5984 0.0000 0.0000
0.0000 4.5984 0.0000
0.0000 0.0000 4.5984
Pu Ge
3 1
Direct
0.5000 0.5000 0.0000
0.5000 0.0000 0.5000
0.0000 0.5000 0.5000
0.0000 0.0000 0.0000
```

no.,energy relative to the elements (eV/f.u.)
1,-37.5
2,-2.9
3,-21.4
4,0.7
5,-2.6
6,-1.5
7,-0.3
8,-6.3
9,-12.6
10,-24.9
11,-4.8
12,-1.1
13,-125.1
14,-31.8
15,-15.8
16,-1.1